First-principles (PBE) data for a relaxed structure of MgTe4Mo3WSe2S2, as listed in Materials Project.

## Properties
Polymorph energy (0 for the lowest one) = 0.016 eV per atom
Total magnetization = 0.0 μB per formula unit
Energy = -6.136 eV per atom
Space group = Cm (8)
E (MP2020) = -6.21 eV per atom

Geometry as POSCAR:
```
MgTe4Mo3WSe2S2
1.0
3.396 0.000 0.000
-1.698 2.942 -0.001
-0.003 -0.016 45.620
Mo Te Se S Mg W
3 4 2 2 1 1
Direct
0.667 0.335 0.289 Mo
0.333 0.667 0.087 Mo
0.666 0.333 0.658 Mo
0.333 0.666 0.617 Te
0.666 0.333 0.046 Te
0.667 0.334 0.128 Te
0.333 0.667 0.699 Te
0.667 0.334 0.506 Se
0.666 0.333 0.433 Se
0.334 0.668 0.256 S
0.334 0.668 0.322 S
0.999 0.998 0.198 Mg
0.333 0.666 0.470 W
```


First-principles (PBE) data for a relaxed structure of MgTe4Mo3WSe2S2, as listed in Materials Project.

## Properties
Polymorph energy (0 for the lowest one) = 0.033 eV per atom
Total magnetization = 0.0 μB per formula unit
Energy = -6.119 eV per atom
Space group = P3m1 (156)
E (MP2020) = -6.20 eV per atom

Geometry as POSCAR:
```
MgTe4Mo3WSe2S2
1.0
3.400 0.000 0.000
-1.700 2.945 0.000
-0.005 -0.007 45.675
S Mg Te Mo Se W
2 1 4 3 2 1
Direct
0.666 0.333 0.509 S
0.666 0.333 0.444 S
0.001 0.000 0.388 Mg
0.333 0.667 0.233 Te
0.334 0.667 0.698 Te
0.334 0.667 0.316 Te
0.333 0.667 0.616 Te
0.667 0.333 0.657 Mo
0.333 0.667 0.094 Mo
0.333 0.666 0.477 Mo
0.666 0.333 0.058 Se
0.667 0.333 0.130 Se
0.667 0.333 0.274 W
```


First-principles (PBE) data for a relaxed structure of MgTe4Mo3WSe2S2, as listed in Materials Project.

## Properties
Polymorph energy (0 for the lowest one) = 0.031 eV per atom
Total magnetization = 0.0 μB per formula unit
Energy = -6.120 eV per atom
Space group = Cm (8)
E (MP2020) = -6.20 eV per atom

Geometry as POSCAR:
```
MgTe4Mo3WSe2S2
1.0
-2.795 1.059 -1.626
-0.236 -1.209 3.172
6.051 40.369 15.746
Mo Se Te S W Mg
3 2 4 2 1 1
Direct
0.335 0.664 0.475 Mo
0.667 0.333 0.276 Mo
0.333 0.667 0.093 Mo
0.333 0.668 0.314 Se
0.333 0.666 0.239 Se
0.666 0.335 0.136 Te
0.333 0.668 0.701 Te
0.334 0.666 0.615 Te
0.667 0.333 0.050 Te
0.668 0.331 0.509 S
0.669 0.331 0.440 S
0.667 0.333 0.658 W
0.996 0.006 0.383 Mg
```


First-principles (PBE) data for a relaxed structure of MgTe4Mo2W2Se2S2, as listed in Materials Project.

## Properties
Polymorph energy (0 for the lowest one) = 0.018 eV per atom
Total magnetization = 0.0 μB per formula unit
Energy = -6.263 eV per atom
Space group = P3m1 (156)
E (MP2020) = -6.34 eV per atom

Geometry as POSCAR:
```
MgTe4Mo2W2Se2S2
1.0
3.391 0.000 0.000
-1.696 2.937 0.000
0.000 0.000 46.611
Mg Mo S Te Se W
1 2 2 4 2 2
Direct
0.000 0.000 0.184 Mg
0.667 0.333 0.289 Mo
0.333 0.667 0.086 Mo
0.667 0.333 0.502 S
0.667 0.333 0.437 S
0.333 0.667 0.329 Te
0.333 0.667 0.698 Te
0.333 0.667 0.617 Te
0.333 0.667 0.248 Te
0.667 0.333 0.122 Se
0.667 0.333 0.051 Se
0.333 0.667 0.470 W
0.667 0.334 0.657 W
```


First-principles (PBE) data for a relaxed structure of MgTe2MoW3Se4S2, as listed in Materials Project.

## Properties
Polymorph energy (0 for the lowest one) = 0.006 eV per atom
Total magnetization = 0.0 μB per formula unit
Energy = -6.575 eV per atom
Space group = P3m1 (156)
E (MP2020) = -6.65 eV per atom

Geometry as POSCAR:
```
MgTe2MoW3Se4S2
1.0
-2.228 -1.563 1.928
2.732 -1.611 -1.035
22.225 13.933 36.975
Te Mo Se S W Mg
2 1 4 2 3 1
Direct
0.667 0.333 0.052 Te
0.667 0.333 0.135 Te
0.333 0.667 0.093 Mo
0.333 0.667 0.245 Se
0.333 0.667 0.627 Se
0.333 0.667 0.319 Se
0.333 0.667 0.702 Se
0.667 0.333 0.429 S
0.667 0.333 0.497 S
0.667 0.333 0.282 W
0.333 0.667 0.463 W
0.667 0.333 0.665 W
0.000 0.000 0.559 Mg
```


First-principles (PBE) data for a relaxed structure of MgTe2Mo3WSe4S2, as listed in Materials Project.

## Properties
Polymorph energy (0 for the lowest one) = 0.012 eV per atom
Total magnetization = 0.0 μB per formula unit
Energy = -6.298 eV per atom
Space group = P1 (1)
E (MP2020) = -6.38 eV per atom

Geometry as POSCAR:
```
MgTe2Mo3WSe4S2
1.0
3.342 0.000 -0.001
-1.671 2.894 0.000
-0.005 -0.001 46.051
Se Mg Mo W Te S
4 1 3 1 2 2
Direct
0.333 0.667 0.621 Se
0.667 0.334 0.506 Se
0.666 0.333 0.433 Se
0.334 0.667 0.694 Se
0.001 0.001 0.198 Mg
0.333 0.667 0.087 Mo
0.666 0.333 0.290 Mo
0.333 0.667 0.470 Mo
0.667 0.333 0.658 W
0.667 0.333 0.046 Te
0.667 0.333 0.128 Te
0.333 0.667 0.256 S
0.333 0.666 0.322 S
```


First-principles (PBE) data for a relaxed structure of MgTe4Mo3WSe2S2, as listed in Materials Project.

## Properties
Polymorph energy (0 for the lowest one) = 0.039 eV per atom
Total magnetization = 0.0 μB per formula unit
Energy = -6.112 eV per atom
Space group = P3m1 (156)
E (MP2020) = -6.19 eV per atom

Geometry as POSCAR:
```
MgTe4Mo3WSe2S2
1.0
3.392 0.001 0.000
-1.695 2.937 0.000
0.002 0.001 46.502
Te Mo Mg Se S W
4 3 1 2 2 1
Direct
0.333 0.667 0.330 Te
0.333 0.667 0.249 Te
0.333 0.667 0.698 Te
0.333 0.667 0.617 Te
0.333 0.666 0.086 Mo
0.667 0.333 0.657 Mo
0.333 0.667 0.470 Mo
0.000 0.000 0.182 Mg
0.667 0.333 0.051 Se
0.667 0.333 0.122 Se
0.667 0.333 0.437 S
0.667 0.333 0.502 S
0.667 0.334 0.290 W
```


First-principles (PBE) data for a relaxed structure of MgTe4MoW3Se2S2, as listed in Materials Project.

## Properties
Polymorph energy (0 for the lowest one) = 0.040 eV per atom
Total magnetization = 0.0 μB per formula unit
Energy = -6.359 eV per atom
Space group = P3m1 (156)
E (MP2020) = -6.44 eV per atom

Geometry as POSCAR:
```
MgTe4MoW3Se2S2
1.0
-2.295 -1.013 -2.281
1.046 -2.138 2.418
-34.915 15.072 28.433
Te Se Mg W Mo S
4 2 1 3 1 2
Direct
0.333 0.667 0.697 Te
0.333 0.667 0.329 Te
0.333 0.667 0.618 Te
0.333 0.667 0.250 Te
0.666 0.333 0.120 Se
0.667 0.333 0.050 Se
0.000 0.000 0.186 Mg
0.333 0.667 0.085 W
0.667 0.333 0.657 W
0.667 0.333 0.290 W
0.333 0.667 0.470 Mo
0.667 0.333 0.501 S
0.667 0.333 0.438 S
```


First-principles (PBE) data for a relaxed structure of MgTe2Mo3WSe4S2, as listed in Materials Project.

## Properties
Polymorph energy (0 for the lowest one) = 0.031 eV per atom
Total magnetization = 0.0 μB per formula unit
Energy = -6.279 eV per atom
Space group = Cm (8)
E (MP2020) = -6.36 eV per atom

Geometry as POSCAR:
```
MgTe2Mo3WSe4S2
1.0
-0.948 3.209 0.060
-2.242 -2.419 0.567
8.956 1.911 43.452
Se Mo W Te S Mg
4 3 1 2 2 1
Direct
0.666 0.333 0.506 Se
0.668 0.334 0.431 Se
0.665 0.333 0.125 Se
0.667 0.333 0.050 Se
0.667 0.333 0.287 Mo
0.333 0.667 0.469 Mo
0.333 0.667 0.087 Mo
0.667 0.333 0.658 W
0.332 0.666 0.701 Te
0.334 0.667 0.615 Te
0.333 0.666 0.321 S
0.335 0.667 0.252 S
0.999 0.000 0.196 Mg
```


First-principles (PBE) data for a relaxed structure of MgTe2Mo3WSe4S2, as listed in Materials Project.

## Properties
Polymorph energy (0 for the lowest one) = 0.055 eV per atom
Total magnetization = 0.0 μB per formula unit
Energy = -6.255 eV per atom
Space group = P1 (1)
E (MP2020) = -6.33 eV per atom

Geometry as POSCAR:
```
MgTe2Mo3WSe4S2
1.0
3.338 0.000 0.000
-1.669 2.890 0.000
0.000 0.000 38.114
Mo Te S W Mg Se
3 2 2 1 1 4
Direct
0.333 0.667 0.094 Mo
0.333 0.667 0.470 Mo
0.667 0.333 0.282 Mo
0.333 0.667 0.708 Te
0.333 0.667 0.608 Te
0.333 0.667 0.242 S
0.333 0.667 0.322 S
0.667 0.333 0.658 W
0.388 0.635 0.882 Mg
0.667 0.333 0.050 Se
0.667 0.333 0.138 Se
0.667 0.333 0.426 Se
0.667 0.333 0.513 Se
```